A plane-wave DFT calculation with PBE-GGA was carried out for a relaxed structure of Rb3AuCl6.

Lattice parameters (Å, degrees): 7.893 7.893 7.893 60.00 60.00 60.00
Sites, in units of the cell vectors:
Rb: 0.750 0.750 0.750
Rb: 0.250 0.250 0.250
Rb: 0.500 0.500 0.500
Au: 0.000 0.000 0.000
Cl: 0.775 0.225 0.225
Cl: 0.225 0.225 0.775
Cl: 0.225 0.775 0.775
Cl: 0.225 0.775 0.225
Cl: 0.775 0.225 0.775
Cl: 0.775 0.775 0.225

## Properties
**Formation energy from the elements**: -1.546 eV/atom
**VASP energy**: -2.908 eV/atom
**Total energy after the MP2020 corrections**: -0.24084 Ry per atom
**SG**: Fm-3m (225)

***

A plane-wave DFT calculation with PBE-GGA was carried out for a relaxed structure of RbErO3.

Lattice parameters (Å, degrees): 4.494 4.494 4.494 90.00 90.00 90.00
Sites, in units of the cell vectors:
Rb: 0.000 0.000 0.000
Er: 0.500 0.500 0.500
O: 0.500 0.500 0.000
O: 0.500 0.000 0.500
O: 0.000 0.500 0.500

## Properties
**Formation energy from the elements**: -2.319 eV/atom
**Spin magnetization**: 0.399 μB/atom
**VASP energy**: -5.985 eV/atom
**Total energy after the MP2020 corrections**: -0.47017 Ry per atom
**SG**: Pm-3m (221)

***

A plane-wave DFT calculation with PBE-GGA was carried out for a relaxed structure of ZrP2O8.

Lattice parameters (Å, degrees): 9.801 9.801 9.801 108.26 108.26 111.91
Sites, in units of the cell vectors:
Zr: 0.746 0.246 0.500
Zr: 0.246 0.746 0.500
Zr: 0.496 0.496 0.000
Zr: 0.996 0.996 0.000
P: 0.533 0.188 0.739
P: 0.949 0.688 0.655
P: 0.438 0.199 0.155
P: 0.938 0.783 0.239
P: 0.449 0.794 0.261
P: 0.033 0.294 0.345
P: 0.044 0.283 0.845
P: 0.544 0.699 0.761
O: 0.620 0.236 0.640
O: 0.096 0.736 0.616
O: 0.486 0.346 0.116
O: 0.986 0.870 0.140
O: 0.596 0.980 0.360
O: 0.120 0.480 0.384
O: 0.230 0.370 0.884
O: 0.730 0.846 0.860
O: 0.926 0.233 0.669
O: 0.064 0.733 0.307
O: 0.483 0.314 0.807
O: 0.983 0.176 0.169
O: 0.564 0.257 0.331
O: 0.426 0.757 0.693
O: 0.507 0.676 0.193
O: 0.007 0.814 0.831
O: 0.876 0.248 0.366
O: 0.382 0.748 0.373
O: 0.498 0.632 0.873
O: 0.998 0.126 0.866
O: 0.882 0.509 0.634
O: 0.376 0.009 0.627
O: 0.759 0.626 0.127
O: 0.259 0.132 0.134
O: 0.671 0.200 0.881
O: 0.818 0.700 0.529
O: 0.450 0.068 0.029
O: 0.950 0.921 0.381
O: 0.318 0.790 0.119
O: 0.171 0.290 0.471
O: 0.040 0.421 0.971
O: 0.540 0.568 0.619

## Properties
**Formation energy from the elements**: -2.648 eV/atom
**Spin magnetization**: 0.182 μB/atom
**VASP energy**: -7.508 eV/atom
**Total energy after the MP2020 corrections**: -0.58857 Ry per atom
**SG**: I4_1cd (110)

***

A plane-wave DFT calculation with PBE-GGA was carried out for a relaxed structure of BaSb2Ru2.

Lattice parameters (Å, degrees): 6.957 6.957 6.957 142.28 142.28 54.41
Sites, in units of the cell vectors:
Ba: 0.000 0.000 0.000
Sb: 0.644 0.644 0.000
Sb: 0.356 0.356 0.000
Ru: 0.750 0.250 0.500
Ru: 0.250 0.750 0.500

## Properties
**Formation energy from the elements**: -0.440 eV/atom
**Spin magnetization**: 0.005 μB/atom
**VASP energy**: -6.185 eV/atom
**SG**: I4/mmm (139)

***

A plane-wave DFT calculation with PBE-GGA was carried out for a relaxed structure of ErSiPd.

Lattice parameters (Å, degrees): 5.581 5.581 6.930 51.56 51.56 44.70
Sites, in units of the cell vectors:
Er: 0.452 0.452 0.308
Er: 0.548 0.548 0.692
Si: 0.153 0.153 0.898
Si: 0.847 0.847 0.102
Pd: 0.817 0.817 0.743
Pd: 0.183 0.183 0.257

## Properties
**Formation energy from the elements**: -0.948 eV/atom
**Spin magnetization**: 0.000 μB/atom
**VASP energy**: -6.006 eV/atom
**SG**: C2/m (12)

***

A plane-wave DFT calculation with PBE-GGA was carried out for a relaxed structure of SiO2.

Lattice parameters (Å, degrees): 8.264 5.022 5.099 61.63 90.00 90.00
Sites, in units of the cell vectors:
Si: 0.938 0.586 0.647
Si: 0.563 0.742 0.694
Si: 0.438 0.414 0.353
Si: 0.063 0.258 0.306
O: 0.947 0.441 0.423
O: 0.751 0.654 0.684
O: 0.544 0.104 0.485
O: 0.513 0.657 0.033
O: 0.447 0.559 0.577
O: 0.251 0.346 0.316
O: 0.044 0.896 0.515
O: 0.013 0.343 0.967

## Properties
**Formation energy from the elements**: -3.262 eV/atom
**VASP energy**: -7.912 eV/atom
**Total energy after the MP2020 corrections**: -0.61515 Ry per atom
**SG**: P2_1 (4)
**Largest piezoelectric modulus**: 0.1 C/m²

***

A plane-wave DFT calculation with PBE-GGA was carried out for a relaxed structure of Pr2MgCuO4.

Lattice parameters (Å, degrees): 4.066 4.066 7.910 104.97 104.89 90.00
Sites, in units of the cell vectors:
Pr: 0.632 0.632 0.264
Pr: 0.399 0.398 0.798
Mg: 0.202 0.203 0.405
Cu: 0.023 0.023 0.046
O: 0.226 0.727 0.452
O: 0.726 0.227 0.452
O: 0.979 0.479 0.958
O: 0.479 0.979 0.958

## Properties
**Formation energy from the elements**: -2.392 eV/atom
**Spin magnetization**: 0.003 μB/atom
**VASP energy**: -6.430 eV/atom
**ΔE to the lowest computed polymorph**: 0.00 eV per formula unit
**Total energy after the MP2020 corrections**: -0.49784 Ry per atom
**SG**: Cm (8)

***

A plane-wave DFT calculation with PBE-GGA was carried out for a relaxed structure of K3AlF6.

Lattice parameters (Å, degrees): 8.736 10.527 10.527 80.09 65.49 65.49
Sites, in units of the cell vectors:
K: 0.250 0.500 0.500
K: 0.750 0.500 0.500
K: 0.516 0.318 0.104
K: 0.938 0.682 0.896
K: 0.834 0.104 0.682
K: 0.620 0.896 0.318
K: 0.484 0.682 0.896
K: 0.062 0.318 0.104
K: 0.166 0.896 0.318
K: 0.380 0.104 0.682
K: 0.500 0.000 0.000
K: 0.086 0.646 0.182
K: 0.914 0.354 0.818
K: 0.732 0.182 0.354
K: 0.268 0.818 0.646
Al: 0.000 0.000 0.000
Al: 0.594 0.605 0.207
Al: 0.406 0.395 0.793
Al: 0.199 0.207 0.395
Al: 0.801 0.793 0.605
F: 0.879 0.186 0.055
F: 0.121 0.814 0.945
F: 0.065 0.055 0.814
F: 0.935 0.945 0.186
F: 0.791 0.000 0.000
F: 0.209 0.000 0.000
F: 0.550 0.776 0.124
F: 0.450 0.224 0.876
F: 0.326 0.124 0.224
F: 0.674 0.876 0.776
F: 0.464 0.692 0.380
F: 0.536 0.308 0.620
F: 0.156 0.380 0.308
F: 0.844 0.620 0.692
F: 0.636 0.437 0.291
F: 0.364 0.563 0.709
F: 0.073 0.291 0.563
F: 0.927 0.709 0.437
F: 0.723 0.523 0.032
F: 0.277 0.477 0.968
F: 0.245 0.032 0.477
F: 0.755 0.968 0.523
F: 0.382 0.607 0.204
F: 0.194 0.393 0.796
F: 0.990 0.204 0.393
F: 0.587 0.796 0.607
F: 0.618 0.393 0.796
F: 0.806 0.607 0.204
F: 0.010 0.796 0.607
F: 0.413 0.204 0.393

## Properties
**Formation energy from the elements**: -3.426 eV/atom
**VASP energy**: -5.006 eV/atom
**Total energy after the MP2020 corrections**: -0.38828 Ry per atom
**SG**: I4/m (87)